HoAl7Au3 (GGA-PBE, optimized geometry); formation energy from the elements = -506 meV per atom
1.0
7.422 -4.047 0.000
7.422 4.047 0.000
5.215 0.000 6.653
Ho Al Au
2 14 6
Cartesian
0.000 0.000 0.000
10.030 0.000 3.326
9.733 -3.169 2.215
10.143 2.417 0.979
8.415 0.751 6.189
7.309 -1.629 2.347
7.719 0.878 1.112
6.830 0.751 3.790
10.326 3.169 4.438
9.917 -2.417 5.673
15.044 0.000 4.990
5.015 0.000 1.663
13.229 -0.751 2.862
12.341 -0.878 5.541
12.750 1.629 4.306
11.644 -0.751 0.464
10.946 1.312 6.159
11.721 -2.735 3.820
12.437 1.423 1.663
9.114 -1.312 0.494
8.338 2.735 2.833
7.623 -1.423 4.990



HoAlAu (GGA-PBE, optimized geometry); formation energy from the elements = -795 meV per atom
1.0
-3.941 0.308 2.022
2.098 -4.855 4.828
2.785 5.733 4.555
Ho Al Au
4 4 4
Cartesian
-0.111 1.788 1.948
0.623 -1.288 3.847
1.054 -0.603 9.457
0.320 2.473 7.559
1.943 4.566 5.528
2.017 0.131 6.348
-1.001 -3.381 5.877
-1.075 1.054 5.058
1.285 2.134 4.616
3.168 1.423 8.394
-0.342 -0.949 6.789
-2.226 -0.238 3.011



Rb2AlAuI6 (GGA-PBE, optimized geometry); formation energy from the elements = -996 meV per atom
1.0
0.000 5.824 5.824
5.824 0.000 5.824
5.824 5.824 0.000
Rb Al Au I
2 1 1 6
Cartesian
8.735 8.735 8.735
2.912 2.912 2.912
0.000 0.000 0.000
5.824 5.824 5.824
2.826 5.824 5.824
5.824 5.824 2.826
8.821 5.824 5.824
5.824 2.826 5.824
5.824 8.821 5.824
5.824 5.824 8.821



LiAlAu (GGA-PBE, optimized geometry); formation energy from the elements = -342 meV per atom
1.0
-2.184 -3.783 0.000
-2.184 3.783 0.000
0.000 0.000 -5.540
Li Al Au
2 2 2
Cartesian
-2.184 -1.261 -1.385
-2.184 1.261 -4.155
-2.184 -1.261 -4.155
-2.184 1.261 -1.385
0.000 0.000 0.000
0.000 0.000 -2.770



LuAlAu (GGA-PBE, optimized geometry); formation energy from the elements = -798 meV per atom
1.0
2.892 -2.918 -0.229
5.076 5.039 -0.119
-2.222 -2.692 6.244
Lu Al Au
3 3 3
Cartesian
3.119 -0.083 3.477
0.527 -2.573 2.468
3.546 0.625 -0.164
0.692 0.569 1.485
-1.683 -2.039 4.730
3.845 3.817 -0.090
2.643 2.462 2.002
0.211 -0.115 4.123
1.446 -1.459 -0.115



Mg16Al12Au (GGA-PBE, optimized geometry); formation energy from the elements = -62 meV per atom; energy relative to the lowest polymorph listed for this composition = 0.0000 eV per atom
1.0
8.909 0.000 0.000
-2.889 8.545 0.000
-2.914 -4.093 7.551
Mg Al Au
16 12 1
Cartesian
3.097 4.438 7.511
3.312 4.708 2.232
1.857 2.658 5.056
-0.977 -1.366 2.614
-1.649 0.975 7.487
0.383 4.466 3.035
6.212 0.236 4.546
4.990 -1.065 7.512
-1.318 2.966 5.193
4.419 -1.267 2.437
-2.627 3.837 2.424
3.167 -0.275 5.192
-2.648 4.469 7.500
-1.815 6.060 4.539
4.028 1.827 3.040
1.412 -1.231 7.493
-1.278 -1.788 6.171
1.688 2.427 1.311
3.322 7.036 0.123
2.510 5.933 4.802
-0.506 1.680 2.741
3.249 -3.307 6.203
6.203 0.894 1.397
-1.178 6.267 1.411
-4.168 2.064 6.207
1.710 0.060 2.747
-4.208 4.351 4.816
5.483 5.457 0.115
0.110 0.180 4.961



Mg16Al12Au (GGA-PBE, optimized geometry); formation energy from the elements = -50 meV per atom; energy relative to the lowest polymorph listed for this composition = 0.0116 eV per atom
1.0
1.648 6.012 6.882
-3.005 -7.825 3.379
7.595 -1.541 -4.649
Mg Al Au
16 12 1
Cartesian
6.320 -4.319 -0.448
6.551 -4.257 -3.451
0.117 1.307 4.961
-1.363 -1.838 10.233
1.181 -1.632 5.696
0.090 -4.753 6.085
0.657 -5.155 0.547
2.655 -0.522 -1.605
3.029 0.556 4.434
1.545 -3.849 3.369
3.580 -3.423 -1.667
2.061 -6.843 2.777
4.066 -2.168 3.671
5.441 0.893 2.470
3.799 -4.919 1.166
4.962 -1.824 0.782
7.075 -1.495 3.054
-1.370 -2.456 7.196
0.901 -0.961 2.914
-0.753 -5.565 3.156
2.245 3.258 5.515
2.849 0.194 1.439
2.065 -2.388 0.858
3.048 -3.882 6.104
3.990 -1.356 6.696
7.228 2.641 0.684
5.948 -0.195 5.213
5.941 -1.597 -1.913
0.482 1.756 2.011



MgAlAu2 (GGA-PBE, optimized geometry); formation energy from the elements = -486 meV per atom
1.0
3.097 -3.361 -0.503
-1.218 -3.973 -1.968
1.573 -1.069 -4.186
Mg Al Au
1 1 2
Cartesian
0.000 0.000 0.000
1.726 -4.202 -3.329
0.863 -2.101 -1.664
2.589 -6.303 -4.993



MnAlAu2 (GGA-PBE, optimized geometry); formation energy from the elements = -248 meV per atom
1.0
-0.929 -3.320 -2.935
-2.592 -3.488 1.273
-4.185 -0.439 -1.672
Mn Al Au
1 1 2
Cartesian
-3.853 -3.624 -1.667
0.000 0.000 0.000
-5.780 -5.435 -2.501
-1.927 -1.812 -0.834



NdAl7Au3 (GGA-PBE, optimized geometry); formation energy from the elements = -520 meV per atom
1.0
-6.084 5.952 0.052
-7.388 -1.009 4.105
-2.033 4.440 6.972
Nd Al Au
2 14 6
Cartesian
-7.752 4.692 5.565
0.000 0.000 0.000
-9.094 5.605 8.479
-9.560 7.390 6.325
-10.959 4.927 6.453
-7.090 3.523 8.692
-7.057 7.972 4.987
-10.506 3.424 4.017
-6.410 3.778 2.650
-5.945 1.993 4.804
-3.876 2.346 2.782
-11.628 7.037 8.347
-4.999 5.959 7.112
-8.448 1.411 6.142
-8.414 5.860 2.438
-4.545 4.456 4.677
-5.960 6.297 3.321
-8.295 2.112 3.596
-5.126 3.319 6.994
-9.545 3.086 7.808
-7.209 7.271 7.533
-10.379 6.064 4.135



AlAuO2 (GGA-PBE, optimized geometry); formation energy from the elements = -2225 meV per atom
1.0
1.467 -2.541 0.000
1.467 2.541 0.000
0.000 0.000 12.377
Al Au O
2 2 4
Cartesian
0.000 0.000 0.000
0.000 0.000 6.189
1.467 -0.847 9.283
1.467 0.847 3.094
1.467 0.847 5.240
1.467 -0.847 11.429
1.467 0.847 0.949
1.467 -0.847 7.137



AlAuO3 (GGA-PBE, optimized geometry); formation energy from the elements = -1400 meV per atom
1.0
-3.498 0.370 -1.333
-1.292 -2.169 2.788
-0.494 3.051 2.144
Al Au O
1 1 3
Cartesian
-2.642 0.626 1.800
0.000 0.000 0.000
-2.395 -0.899 0.728
-1.996 1.710 0.405
-0.893 0.441 2.466